A plane-wave DFT calculation with PBE was carried out for crystalline Er2NiAs2 at its relaxed geometry.

abc: 4.103 4.103 14.031
angles: 90.00 90.00 120.00
Fractional coordinates of all 10 atoms:
Er 0.333 0.667 0.000
Er 0.333 0.667 0.266
Er 0.667 0.333 0.500
Er 0.667 0.333 0.766
Ni 0.000 0.000 0.146
Ni 0.000 0.000 0.646
As 0.000 0.000 0.381
As 0.000 0.000 0.881
As 0.333 0.667 0.630
As 0.667 0.333 0.130

Results
ΔE to the lowest computed polymorph ... 2 meV per atom

---

A plane-wave DFT calculation with PBE was carried out for crystalline Rb2TeH6SeO10 at its relaxed geometry.

abc: 13.985 6.797 11.961
angles: 90.00 106.82 90.00
Fractional coordinates of all 80 atoms:
Rb 0.145 0.000 0.410
Rb 0.145 0.500 0.910
Rb 0.354 0.013 0.159
Rb 0.354 0.487 0.659
Rb 0.646 0.513 0.341
Rb 0.646 0.987 0.841
Rb 0.855 0.000 0.590
Rb 0.855 0.500 0.090
Te 0.000 0.000 0.000
Te 0.000 0.500 0.500
Te 0.500 0.000 0.500
Te 0.500 0.500 0.000
H 0.068 0.029 0.827
H 0.068 0.471 0.327
H 0.107 0.748 0.632
H 0.107 0.752 0.132
H 0.135 0.201 0.130
H 0.135 0.299 0.630
H 0.360 0.223 0.413
H 0.360 0.277 0.913
H 0.395 0.564 0.132
H 0.395 0.936 0.632
H 0.440 0.668 0.419
H 0.440 0.832 0.919
H 0.560 0.168 0.081
H 0.560 0.332 0.581
H 0.605 0.064 0.368
H 0.605 0.436 0.868
H 0.640 0.723 0.087
H 0.640 0.777 0.587
H 0.865 0.701 0.370
H 0.865 0.799 0.870
H 0.893 0.248 0.868
H 0.893 0.252 0.368
H 0.932 0.529 0.673
H 0.932 0.971 0.173
Se 0.252 0.502 0.268
Se 0.252 0.998 0.768
Se 0.748 0.002 0.232
Se 0.748 0.498 0.732
O 0.027 0.571 0.353
O 0.027 0.929 0.853
O 0.049 0.740 0.060
O 0.049 0.760 0.560
O 0.133 0.118 0.060
O 0.133 0.382 0.560
O 0.156 0.154 0.757
O 0.156 0.346 0.257
O 0.212 0.735 0.251
O 0.212 0.765 0.751
O 0.303 0.057 0.662
O 0.303 0.443 0.162
O 0.336 0.026 0.900
O 0.336 0.474 0.400
O 0.364 0.075 0.411
O 0.364 0.425 0.911
O 0.449 0.642 0.112
O 0.449 0.858 0.612
O 0.489 0.738 0.904
O 0.489 0.762 0.404
O 0.511 0.238 0.596
O 0.511 0.262 0.096
O 0.551 0.142 0.388
O 0.551 0.358 0.888
O 0.636 0.575 0.089
O 0.636 0.925 0.589
O 0.664 0.526 0.600
O 0.664 0.974 0.100
O 0.697 0.557 0.838
O 0.697 0.943 0.338
O 0.788 0.235 0.249
O 0.788 0.265 0.749
O 0.844 0.654 0.743
O 0.844 0.846 0.243
O 0.867 0.618 0.440
O 0.867 0.882 0.940
O 0.951 0.240 0.440
O 0.951 0.260 0.940
O 0.973 0.071 0.147
O 0.973 0.429 0.647

Results
ΔE to the lowest computed polymorph ... 0 meV per atom

---

A plane-wave DFT calculation with PBE was carried out for crystalline P2Pb2O7 at its relaxed geometry.

abc: 7.089 7.161 12.975
angles: 95.95 90.70 90.61
Fractional coordinates of all 44 atoms:
P 0.089 0.287 0.100
P 0.267 0.888 0.400
P 0.319 0.695 0.592
P 0.331 0.302 0.912
P 0.669 0.698 0.088
P 0.681 0.305 0.408
P 0.733 0.112 0.600
P 0.911 0.713 0.900
Pb 0.148 0.377 0.368
Pb 0.175 0.787 0.141
Pb 0.252 0.189 0.646
Pb 0.407 0.807 0.858
Pb 0.593 0.193 0.142
Pb 0.748 0.811 0.354
Pb 0.825 0.213 0.859
Pb 0.852 0.623 0.632
O 0.054 0.450 0.182
O 0.093 0.795 0.954
O 0.101 0.756 0.362
O 0.190 0.523 0.556
O 0.194 0.174 0.842
O 0.202 0.846 0.656
O 0.203 0.075 0.456
O 0.210 0.386 0.012
O 0.216 0.137 0.141
O 0.387 0.781 0.486
O 0.406 0.470 0.862
O 0.408 0.905 0.313
O 0.492 0.184 0.953
O 0.496 0.641 0.648
O 0.504 0.359 0.352
O 0.508 0.816 0.047
O 0.592 0.095 0.687
O 0.594 0.530 0.138
O 0.613 0.219 0.514
O 0.784 0.863 0.859
O 0.790 0.614 0.988
O 0.797 0.925 0.544
O 0.798 0.154 0.344
O 0.806 0.826 0.158
O 0.810 0.477 0.444
O 0.899 0.244 0.638
O 0.907 0.205 0.046
O 0.946 0.550 0.818

---

Computed values of formation energy (unit: eV/f.u.) for the preceding records, in sequence: -6.13; -29.93; -26.59.